Entry A
First-principles (PBE) data for a relaxed structure of CaB2H8, as listed in Materials Project.

Cell and atoms, written as POSCAR:
```
CaB2H8
1.0
3.739 -4.441 0.000
3.739 4.441 0.000
-3.710 0.000 6.809
Ca B H
2 4 16
Direct
0.142 0.858 0.750
0.858 0.142 0.250
0.056 0.328 0.669
0.328 0.056 0.169
0.672 0.944 0.831
0.944 0.672 0.331
0.027 0.520 0.239
0.128 0.856 0.443
0.144 0.872 0.057
0.166 0.415 0.579
0.214 0.275 0.785
0.275 0.214 0.285
0.415 0.166 0.079
0.480 0.973 0.261
0.520 0.027 0.739
0.585 0.834 0.921
0.725 0.786 0.715
0.786 0.725 0.215
0.834 0.585 0.421
0.856 0.128 0.943
0.872 0.144 0.557
0.973 0.480 0.761
```

---

Entry B
First-principles (PBE) data for a relaxed structure of CaB2H8, as listed in Materials Project.

Cell and atoms, written as POSCAR:
```
CaB2H8
1.0
7.354 0.000 0.000
0.000 13.353 0.000
0.000 0.000 8.765
Ca B H
8 16 64
Direct
0.187 0.115 0.068
0.187 0.385 0.568
0.313 0.615 0.068
0.313 0.885 0.568
0.687 0.115 0.432
0.687 0.385 0.932
0.813 0.615 0.432
0.813 0.885 0.932
0.040 0.719 0.946
0.040 0.781 0.446
0.144 0.515 0.313
0.144 0.985 0.813
0.356 0.015 0.313
0.356 0.485 0.813
0.460 0.219 0.946
0.460 0.281 0.446
0.540 0.719 0.554
0.540 0.781 0.054
0.644 0.515 0.187
0.644 0.985 0.687
0.856 0.015 0.187
0.856 0.485 0.687
0.960 0.219 0.554
0.960 0.281 0.054
0.006 0.641 0.016
0.006 0.859 0.516
0.012 0.031 0.864
0.012 0.469 0.364
0.049 0.712 0.538
0.049 0.788 0.038
0.080 0.230 0.650
0.080 0.270 0.150
0.102 0.604 0.294
0.102 0.896 0.794
0.180 0.025 0.692
0.180 0.475 0.192
0.186 0.714 0.878
0.186 0.786 0.378
0.225 0.014 0.399
0.225 0.486 0.899
0.275 0.514 0.399
0.275 0.986 0.899
0.314 0.214 0.878
0.314 0.286 0.378
0.320 0.525 0.692
0.320 0.975 0.192
0.398 0.104 0.294
0.398 0.396 0.794
0.420 0.730 0.650
0.420 0.770 0.150
0.451 0.212 0.538
0.451 0.288 0.038
0.488 0.531 0.864
0.488 0.969 0.364
0.494 0.141 0.016
0.494 0.359 0.516
0.506 0.641 0.484
0.506 0.859 0.984
0.512 0.031 0.636
0.512 0.469 0.136
0.549 0.712 0.962
0.549 0.788 0.462
0.580 0.230 0.850
0.580 0.270 0.350
0.602 0.604 0.206
0.602 0.896 0.706
0.680 0.025 0.808
0.680 0.475 0.308
0.686 0.714 0.622
0.686 0.786 0.122
0.725 0.014 0.101
0.725 0.486 0.601
0.775 0.514 0.101
0.775 0.986 0.601
0.814 0.214 0.622
0.814 0.286 0.122
0.820 0.525 0.808
0.820 0.975 0.308
0.898 0.104 0.206
0.898 0.396 0.706
0.920 0.730 0.850
0.920 0.770 0.350
0.951 0.212 0.962
0.951 0.288 0.462
0.988 0.531 0.636
0.988 0.969 0.136
0.994 0.141 0.484
0.994 0.359 0.984
```

---

The structure with the least stability is entry B.

---

Entry A
First-principles (PBE) data for a relaxed structure of CaB2H8, as listed in Materials Project.

Cell and atoms, written as POSCAR:
```
CaB2H8
1.0
7.444 0.000 0.000
0.000 12.854 0.000
0.000 0.000 8.254
Ca B H
8 16 64
Direct
0.145 0.126 0.127
0.145 0.374 0.627
0.355 0.626 0.127
0.355 0.874 0.627
0.645 0.126 0.373
0.645 0.374 0.873
0.855 0.626 0.373
0.855 0.874 0.873
0.016 0.721 0.086
0.016 0.779 0.586
0.171 0.011 0.832
0.171 0.489 0.332
0.329 0.511 0.832
0.329 0.989 0.332
0.484 0.221 0.086
0.484 0.279 0.586
0.516 0.721 0.414
0.516 0.779 0.914
0.671 0.011 0.668
0.671 0.489 0.168
0.829 0.511 0.668
0.829 0.989 0.168
0.984 0.221 0.414
0.984 0.279 0.914
0.016 0.627 0.110
0.016 0.873 0.610
0.023 0.046 0.868
0.023 0.454 0.368
0.033 0.729 0.939
0.033 0.771 0.439
0.125 0.242 0.866
0.125 0.258 0.366
0.141 0.735 0.655
0.141 0.765 0.155
0.178 0.583 0.365
0.178 0.917 0.865
0.192 0.028 0.687
0.192 0.472 0.187
0.206 0.552 0.906
0.206 0.948 0.406
0.294 0.052 0.906
0.294 0.448 0.406
0.308 0.528 0.687
0.308 0.972 0.187
0.322 0.083 0.365
0.322 0.417 0.865
0.359 0.235 0.655
0.359 0.265 0.155
0.375 0.742 0.866
0.375 0.758 0.366
0.467 0.229 0.939
0.467 0.271 0.439
0.477 0.546 0.868
0.477 0.954 0.368
0.484 0.127 0.110
0.484 0.373 0.610
0.516 0.627 0.390
0.516 0.873 0.890
0.523 0.046 0.632
0.523 0.454 0.132
0.533 0.729 0.561
0.533 0.771 0.061
0.625 0.242 0.634
0.625 0.258 0.134
0.641 0.735 0.845
0.641 0.765 0.345
0.678 0.583 0.135
0.678 0.917 0.635
0.692 0.028 0.813
0.692 0.472 0.313
0.706 0.552 0.594
0.706 0.948 0.094
0.794 0.052 0.594
0.794 0.448 0.094
0.808 0.528 0.813
0.808 0.972 0.313
0.822 0.083 0.135
0.822 0.417 0.635
0.859 0.235 0.845
0.859 0.265 0.345
0.875 0.742 0.634
0.875 0.758 0.134
0.967 0.229 0.561
0.967 0.271 0.061
0.977 0.546 0.632
0.977 0.954 0.132
0.984 0.127 0.390
0.984 0.373 0.890
```

---

Entry B
First-principles (PBE) data for a relaxed structure of CaB2H8, as listed in Materials Project.

Cell and atoms, written as POSCAR:
```
CaB2H8
1.0
7.501 0.000 0.000
0.000 13.468 0.000
0.000 0.000 8.561
Ca B H
8 16 64
Direct
0.153 0.122 0.124
0.153 0.378 0.624
0.347 0.622 0.124
0.347 0.878 0.624
0.653 0.122 0.376
0.653 0.378 0.876
0.847 0.622 0.376
0.847 0.878 0.876
0.039 0.714 0.084
0.039 0.786 0.584
0.165 0.501 0.343
0.165 0.999 0.843
0.335 0.001 0.343
0.335 0.499 0.843
0.461 0.214 0.084
0.461 0.286 0.584
0.539 0.714 0.416
0.539 0.786 0.916
0.665 0.501 0.157
0.665 0.999 0.657
0.835 0.001 0.157
0.835 0.499 0.657
0.961 0.214 0.416
0.961 0.286 0.916
0.002 0.630 0.133
0.002 0.870 0.633
0.019 0.036 0.868
0.019 0.464 0.368
0.100 0.242 0.934
0.100 0.258 0.434
0.117 0.700 0.961
0.117 0.800 0.461
0.136 0.743 0.677
0.136 0.757 0.177
0.162 0.592 0.366
0.162 0.908 0.866
0.201 0.020 0.708
0.201 0.480 0.208
0.217 0.531 0.927
0.217 0.969 0.427
0.283 0.031 0.927
0.283 0.469 0.427
0.299 0.520 0.708
0.299 0.980 0.208
0.338 0.092 0.366
0.338 0.408 0.866
0.364 0.243 0.677
0.364 0.257 0.177
0.383 0.200 0.961
0.383 0.300 0.461
0.400 0.742 0.934
0.400 0.758 0.434
0.481 0.536 0.868
0.481 0.964 0.368
0.498 0.130 0.133
0.498 0.370 0.633
0.502 0.630 0.367
0.502 0.870 0.867
0.519 0.036 0.632
0.519 0.464 0.132
0.600 0.242 0.566
0.600 0.258 0.066
0.617 0.700 0.539
0.617 0.800 0.039
0.636 0.743 0.823
0.636 0.757 0.323
0.662 0.592 0.134
0.662 0.908 0.634
0.701 0.020 0.792
0.701 0.480 0.292
0.717 0.531 0.573
0.717 0.969 0.073
0.783 0.031 0.573
0.783 0.469 0.073
0.799 0.520 0.792
0.799 0.980 0.292
0.838 0.092 0.134
0.838 0.408 0.634
0.864 0.243 0.823
0.864 0.257 0.323
0.883 0.200 0.539
0.883 0.300 0.039
0.900 0.742 0.566
0.900 0.758 0.066
0.981 0.536 0.632
0.981 0.964 0.132
0.998 0.130 0.367
0.998 0.370 0.867
```

---

The structure with the least stability is entry B.

---

Entry A
First-principles (PBE) data for a relaxed structure of CaB2H8, as listed in Materials Project.

Cell and atoms, written as POSCAR:
```
CaB2H8
1.0
6.806 0.000 0.000
0.000 6.806 0.000
0.000 0.000 4.361
Ca B H
2 4 16
Direct
0.000 0.500 0.000
0.500 0.000 0.500
0.188 0.714 0.506
0.286 0.188 0.006
0.714 0.812 0.006
0.812 0.286 0.506
0.014 0.666 0.507
0.108 0.182 0.039
0.182 0.892 0.539
0.267 0.669 0.263
0.280 0.634 0.714
0.331 0.267 0.763
0.334 0.014 0.007
0.366 0.280 0.214
0.634 0.720 0.214
0.666 0.986 0.007
0.669 0.733 0.763
0.720 0.366 0.714
0.733 0.331 0.263
0.818 0.108 0.539
0.892 0.818 0.039
0.986 0.334 0.507
```

---

Entry B
First-principles (PBE) data for a relaxed structure of CaB2H8, as listed in Materials Project.

Cell and atoms, written as POSCAR:
```
CaB2H8
1.0
0.000 4.395 6.589
3.751 0.000 6.589
3.751 4.395 0.000
Ca B H
2 4 16
Direct
0.125 0.125 0.125
0.875 0.875 0.875
0.096 0.096 0.654
0.346 0.346 0.904
0.654 0.654 0.096
0.904 0.904 0.346
0.028 0.272 0.498
0.093 0.822 0.158
0.158 0.428 0.093
0.178 0.907 0.572
0.272 0.028 0.702
0.298 0.502 0.728
0.428 0.158 0.822
0.498 0.702 0.028
0.502 0.298 0.972
0.572 0.842 0.178
0.702 0.498 0.272
0.728 0.972 0.298
0.822 0.093 0.428
0.842 0.572 0.907
0.907 0.178 0.842
0.972 0.728 0.502
```

---

Entry C
First-principles (PBE) data for a relaxed structure of CaB2H8, as listed in Materials Project.

Cell and atoms, written as POSCAR:
```
CaB2H8
1.0
6.026 -5.075 0.000
6.026 5.075 0.000
-5.033 0.000 6.067
Ca B H
2 4 16
Direct
0.016 0.984 0.750
0.984 0.016 0.250
0.018 0.273 0.120
0.273 0.018 0.620
0.727 0.982 0.380
0.982 0.727 0.880
0.002 0.555 0.793
0.129 0.841 0.018
0.159 0.871 0.482
0.176 0.217 0.131
0.217 0.176 0.631
0.285 0.489 0.750
0.445 0.998 0.707
0.489 0.285 0.250
0.511 0.715 0.750
0.555 0.002 0.293
0.715 0.511 0.250
0.783 0.824 0.369
0.824 0.783 0.869
0.841 0.129 0.518
0.871 0.159 0.982
0.998 0.445 0.207
```

---

The structure with the least stability is entry C.